Entry 1:
Compound: BaCaFeF7
Source: the Materials Project database
Functional: PBE+U
Structure: relaxed

size of the total moment	20.00	μB per cell

Structure (POSCAR):
```
BaCaFeF7
1.0
-4.1387 9.7695 -1.3832
-4.9390 -1.7755 2.2383
2.9329 2.5393 9.1597
Ba Ca Fe F
4 4 4 28
direct
0.3351 0.7338 0.5077
0.8351 0.2662 0.9923
0.6649 0.2662 0.4923
0.1649 0.7338 0.0077
0.4143 0.2840 0.8278
0.9143 0.7160 0.6722
0.0857 0.2840 0.3278
0.5857 0.7160 0.1722
0.6265 0.8069 0.8053
0.3735 0.1931 0.1947
0.8735 0.8069 0.3053
0.1265 0.1931 0.6947
0.4098 0.8991 0.1014
0.0256 0.6557 0.3685
0.7121 0.5364 0.7288
0.2879 0.4636 0.2712
0.4615 0.0766 0.3533
0.7956 0.7067 0.4776
0.7754 0.9924 0.7418
0.9615 0.9234 0.1467
0.4744 0.6557 0.8685
0.2121 0.4636 0.7712
0.0902 0.8991 0.6014
0.5902 0.1009 0.8986
0.2754 0.0076 0.7582
0.9614 0.6020 0.8775
0.5385 0.9234 0.6467
0.0385 0.0766 0.8533
0.2246 0.0076 0.2582
0.9098 0.1009 0.3986
0.4614 0.3980 0.6225
0.9744 0.3443 0.6315
0.0386 0.3980 0.1225
0.7246 0.9924 0.2418
0.5386 0.6020 0.3775
0.2956 0.2933 0.0224
0.2044 0.2933 0.5224
0.7044 0.7067 0.9776
0.5256 0.3443 0.1315
0.7879 0.5364 0.2288
```



Entry 2:
Compound: Rb2Cr2O7
Source: the Materials Project database
Functional: PBE+U
Structure: relaxed

energy relative to the lowest polymorph listed for this composition	6.8	meV/atom

Structure (POSCAR):
```
Rb2Cr2O7
1.0
7.6172 0.0000 0.0000
-2.6975 7.3351 0.0000
-0.1238 -2.8350 7.5354
Rb Cr O
4 4 14
direct
0.3788 0.9925 0.7476
0.6212 0.0075 0.2524
0.1883 0.4162 0.2527
0.8117 0.5838 0.7473
0.2989 0.4771 0.7555
0.9161 0.1206 0.7766
0.0839 0.8794 0.2234
0.7011 0.5229 0.2445
0.2350 0.8487 0.3476
0.8061 0.4388 0.3605
0.1768 0.9169 0.0508
0.8232 0.0831 0.9492
0.0277 0.0634 0.3340
0.5989 0.6577 0.3728
0.5408 0.3405 0.0900
0.9723 0.9366 0.6660
0.1939 0.5612 0.6395
0.7650 0.1513 0.6524
0.8726 0.6627 0.1409
0.4592 0.6595 0.9100
0.1274 0.3373 0.8591
0.4011 0.3423 0.6272
```



Entry 3:
Compound: Co3B2O6
Source: the Materials Project database
Functional: PBE+U
Structure: relaxed

Structure (POSCAR):
```
Co3B2O6
1.0
-3.2006 3.2046 -0.6266
0.4401 -0.6260 -5.4489
-6.0534 -6.0066 0.2011
Co B O
6 4 12
direct
0.0000 0.0000 0.3127
0.0000 0.5000 0.5000
0.5000 0.5000 0.8127
0.5000 0.5000 0.1873
0.0000 0.0000 0.6873
0.5000 0.0000 0.0000
0.4579 0.2454 0.5000
0.0421 0.7454 0.0000
0.9579 0.2546 0.0000
0.5421 0.7546 0.5000
0.2495 0.8175 0.5000
0.7495 0.6825 0.0000
0.8010 0.2082 0.1379
0.2505 0.3175 0.0000
0.3010 0.2918 0.3621
0.6990 0.7082 0.3621
0.3010 0.2918 0.6379
0.6990 0.7082 0.6379
0.7505 0.1825 0.5000
0.1990 0.7918 0.8621
0.1990 0.7918 0.1379
0.8010 0.2082 0.8621
```



Entry 4:
Compound: Rb2CrF5
Source: the Materials Project database
Functional: PBE+U
Structure: relaxed

Structure (POSCAR):
```
Rb2CrF5
1.0
5.8737 0.0000 0.0000
0.0000 7.7116 0.0000
0.0000 0.0000 12.2349
Rb Cr F
8 4 20
direct
0.2500 0.4924 0.2743
0.7500 0.5076 0.7257
0.2500 0.9924 0.2257
0.7500 0.0076 0.7743
0.2500 0.1476 0.5836
0.7500 0.8524 0.4164
0.2500 0.6476 0.9164
0.7500 0.3524 0.0836
0.2500 0.6563 0.5609
0.7500 0.3437 0.4391
0.2500 0.1563 0.9391
0.7500 0.8437 0.0609
0.5140 0.1972 0.3833
0.0140 0.8028 0.6167
0.9860 0.6972 0.1167
0.4860 0.3028 0.8833
0.4860 0.8028 0.6167
0.9860 0.1972 0.3833
0.0140 0.3028 0.8833
0.5140 0.6972 0.1167
0.2500 0.7829 0.4218
0.7500 0.2171 0.5782
0.2500 0.2829 0.0782
0.7500 0.7171 0.9218
0.5000 0.5000 0.5000
0.0000 0.5000 0.5000
0.0000 0.0000 0.0000
0.5000 0.0000 0.0000
0.7500 0.9847 0.1903
0.2500 0.0153 0.8097
0.7500 0.4847 0.3097
0.2500 0.5153 0.6903
```



The records above give, respectively, E_tot values of -0.412 -0.456 -0.538 -0.383 Ry per atom.
The records above give, respectively, formation enthalpy at 0 K values of -3572.4 -1927.1 -2285.0 -3101.5 meV per atom.